Here is a geometry-optimized CeMg2Cu structure from the Materials Project database. Energies are from GGA-PBE.

Output
The value obtained for the energy of formation is 0.5 eV/f.u. The total energy is -3.17 eV/atom.

The structure in CIF format:
```
data_CeMg2Cu
_chemical_formula_sum 'Ce4 Mg8 Cu4'
_cell_length_a 6.996
_cell_length_b 6.996
_cell_length_c 6.996
_cell_angle_alpha 90.00
_cell_angle_beta 90.00
_cell_angle_gamma 90.00
_symmetry_space_group_name_H-M 'F m -3 m'
_symmetry_Int_Tables_number 225
_symmetry_space_group_name_Hall '-F 4 2 3'
loop_
_atom_site_label
_atom_site_type_symbol
_atom_site_fract_x
_atom_site_fract_y
_atom_site_fract_z
Ce1 Ce 0.000 0.000 0.000
Mg1 Mg 0.250 0.250 0.250
Cu1 Cu 0.000 0.000 0.500
```